No. 1
CaB2H8O8: optimized geometry, GGA-PBE.

Properties
Symmetry: No. 2
Polymorph energy (0 for the lowest one) in kcal/mol of atoms: 0.07

Cell and atoms, written as POSCAR:
```
CaB2H8O8
1.0
5.672 0.000 0.000
2.439 7.425 0.000
2.327 2.906 7.211
Ca B H O
2 4 16 16
direct
0.164 0.230 0.321 Ca
0.836 0.770 0.679 Ca
0.172 0.975 0.731 B
0.397 0.433 0.781 B
0.603 0.567 0.219 B
0.828 0.025 0.269 B
0.060 0.747 0.953 H
0.126 0.793 0.296 H
0.134 0.366 0.699 H
0.345 0.457 0.450 H
0.367 0.796 0.580 H
0.422 0.834 0.068 H
0.436 0.052 0.799 H
0.459 0.400 0.019 H
0.541 0.600 0.981 H
0.564 0.948 0.201 H
0.578 0.166 0.932 H
0.633 0.204 0.420 H
0.655 0.543 0.550 H
0.866 0.634 0.301 H
0.874 0.207 0.704 H
0.940 0.253 0.047 H
0.021 0.129 0.132 O
0.060 0.187 0.659 O
0.184 0.482 0.687 O
0.234 0.917 0.565 O
0.307 0.453 0.963 O
0.403 0.931 0.806 O
0.432 0.426 0.338 O
0.453 0.767 0.197 O
0.547 0.233 0.803 O
0.568 0.574 0.662 O
0.597 0.069 0.194 O
0.693 0.547 0.037 O
0.766 0.083 0.435 O
0.816 0.518 0.313 O
0.940 0.813 0.341 O
0.979 0.871 0.868 O
```

***

No. 2
Zn2CoS3: optimized geometry, GGA-PBE.

Properties
Symmetry: No. 156

Cell and atoms, written as POSCAR:
```
Zn2CoS3
1.0
3.766 0.000 0.000
-1.883 3.261 0.000
0.000 0.000 9.315
Zn Co S
2 1 3
direct
0.000 0.000 0.000 Zn
0.333 0.667 0.658 Zn
0.667 0.333 0.324 Co
0.000 0.000 0.254 S
0.333 0.667 0.911 S
0.667 0.333 0.569 S
```

***

No. 3
Cu2WS4: optimized geometry, GGA-PBE.

Properties
Maximum piezoelectric response in C/m²: 0.07
Symmetry: No. 121
Polymorph energy (0 for the lowest one) in kcal/mol of atoms: 0.08

Cell and atoms, written as POSCAR:
```
Cu2WS4
1.0
-2.729 2.729 5.308
2.729 -2.729 5.308
2.729 2.729 -5.308
Cu W S
2 1 4
direct
0.000 0.500 0.500 Cu
0.500 0.000 0.500 Cu
0.000 0.000 0.000 W
0.115 0.115 0.475 S
0.360 0.885 0.000 S
0.640 0.640 0.525 S
0.885 0.360 0.000 S
```

***

No. 4
NdEuHg2: optimized geometry, GGA-PBE.

Properties
Symmetry: No. 225

Cell and atoms, written as POSCAR:
```
NdEuHg2
1.0
0.000 3.871 3.871
3.871 0.000 3.871
3.871 3.871 0.000
Nd Eu Hg
1 1 2
direct
0.000 0.000 0.000 Nd
0.500 0.500 0.500 Eu
0.250 0.250 0.250 Hg
0.750 0.750 0.750 Hg
```

***

No. 5
Na2H4PtC4Br2N4O2: optimized geometry, GGA-PBE.

Properties
Symmetry: No. 62

Cell and atoms, written as POSCAR:
```
Na2H4PtC4Br2N4O2
1.0
12.051 0.000 0.000
0.000 15.237 0.000
0.000 0.000 6.553
Na H Pt C Br N O
8 16 4 16 8 16 8
direct
0.239 0.024 0.048 Na
0.239 0.476 0.048 Na
0.261 0.524 0.548 Na
0.261 0.976 0.548 Na
0.739 0.024 0.452 Na
0.739 0.476 0.452 Na
0.761 0.524 0.952 Na
0.761 0.976 0.952 Na
0.037 0.013 0.760 H
0.037 0.487 0.760 H
0.085 0.578 0.823 H
0.085 0.922 0.823 H
0.415 0.078 0.323 H
0.415 0.422 0.323 H
0.463 0.513 0.260 H
0.463 0.987 0.260 H
0.537 0.013 0.740 H
0.537 0.487 0.740 H
0.585 0.578 0.677 H
0.585 0.922 0.677 H
0.915 0.078 0.177 H
0.915 0.422 0.177 H
0.963 0.513 0.240 H
0.963 0.987 0.240 H
0.007 0.250 0.564 Pt
0.493 0.750 0.064 Pt
0.507 0.250 0.936 Pt
0.993 0.750 0.436 Pt
0.086 0.655 0.307 C
0.086 0.845 0.307 C
0.101 0.157 0.429 C
0.101 0.343 0.429 C
0.399 0.657 0.929 C
0.399 0.843 0.929 C
0.414 0.155 0.807 C
0.414 0.345 0.807 C
0.586 0.655 0.193 C
0.586 0.845 0.193 C
0.601 0.157 0.071 C
0.601 0.343 0.071 C
0.899 0.657 0.571 C
0.899 0.843 0.571 C
0.914 0.155 0.693 C
0.914 0.345 0.693 C
0.123 0.750 0.739 Br
0.133 0.250 0.873 Br
0.367 0.750 0.373 Br
0.377 0.250 0.239 Br
0.623 0.750 0.761 Br
0.633 0.250 0.627 Br
0.867 0.750 0.127 Br
0.877 0.250 0.261 Br
0.138 0.596 0.241 N
0.138 0.904 0.241 N
0.153 0.103 0.348 N
0.153 0.397 0.348 N
0.347 0.603 0.848 N
0.347 0.897 0.848 N
0.362 0.096 0.741 N
0.362 0.404 0.741 N
0.638 0.596 0.259 N
0.638 0.904 0.259 N
0.653 0.103 0.152 N
0.653 0.397 0.152 N
0.847 0.603 0.652 N
0.847 0.897 0.652 N
0.862 0.096 0.759 N
0.862 0.404 0.759 N
0.106 0.517 0.789 O
0.106 0.983 0.789 O
0.394 0.017 0.289 O
0.394 0.483 0.289 O
0.606 0.517 0.711 O
0.606 0.983 0.711 O
0.894 0.017 0.211 O
0.894 0.483 0.211 O
```

***

No. 6
PrSF: optimized geometry, GGA-PBE.

Properties
Symmetry: No. 129

Cell and atoms, written as POSCAR:
```
PrSF
1.0
3.991 0.000 0.000
0.000 3.991 0.000
0.000 0.000 7.020
Pr S F
2 2 2
direct
0.250 0.250 0.230 Pr
0.750 0.750 0.770 Pr
0.250 0.250 0.647 S
0.750 0.750 0.353 S
0.250 0.750 0.000 F
0.750 0.250 0.000 F
```

***

The evaluated energy of formation for the records listed, in turn: -185.7 -78.9 -71.7 -49.7 -46.8 -319.3 kJ/mol of atoms.
The evaluated calculated density for the records listed, in turn: 2.16 4.15 4.61 9.98 2.99 5.70 g/cm3.
The evaluated uncorrected energy for the records listed, in turn: -226.333 -25.436 -40.891 -17.695 -454.246 -39.587 eV/cell.